1.
Density functional theory data (PBE+U) for K3NaMoC4N4O2 after structural relaxation.

Computed properties:
Total DFT energy (no corrections), eV/atom: -6.55
Volume, Å³/cell: 772.74
Corrected total energy (MP2020 scheme), eV/atom: -6.8512
DFT formation energy, meV/atom: -474
Mass density, g/cm3: 1.6
Total magnetization, μB/atom: 0.0000

Structure (CIF):
```
data_K3NaMoC4N4O2
_chemical_formula_sum 'K6 Na2 Mo2 C8 N8 O4'
_space_group_name_H-M_alt 'P m n a'
_space_group_IT_number 53
_cell_length_a 12.485
_cell_length_b 7.770
_cell_length_c 7.966
_cell_angle_alpha 90.00
_cell_angle_beta 90.00
_cell_angle_gamma 90.00
loop_
_space_group_symop_operation_xyz
'x,y,z'
'-x,-y,-z'
'-x+1/2,-y,z+1/2'
'x+1/2,y,-z+1/2'
'x,-y,-z'
'-x,y,z'
'-x+1/2,y,-z+1/2'
'x+1/2,-y,z+1/2'
loop_
_atom_site_label
_atom_site_type_symbol
_atom_site_fract_x
_atom_site_fract_y
_atom_site_fract_z
_atom_site_occupancy
K1 K 0.000 0.000 0.000 1
K2 K 0.250 0.249 0.250 1
Na1 Na 0.000 0.500 0.000 1
Mo1 Mo 0.000 0.000 0.500 1
C1 C 0.000 0.220 0.328 1
C2 C 0.177 0.000 0.500 1
N1 N 0.000 0.322 0.217 1
N2 N 0.229 0.000 0.000 1
O1 O 0.000 0.141 0.690 1
```

=====

2.
Density functional theory data (PBE+U) for K4MoC4N4O8 after structural relaxation.

Computed properties:
Total DFT energy (no corrections), eV/atom: -5.92
Volume, Å³/cell: 814.60
Corrected total energy (MP2020 scheme), eV/atom: -6.1292
DFT formation energy, meV/atom: -171
Mass density, g/cm3: 2.0
Total magnetization, μB/atom: 0.3810

Structure (CIF):
```
data_K4MoC4N4O8
_chemical_formula_sum 'K8 Mo2 C8 N8 O16'
_space_group_name_H-M_alt 'P 1 21/c 1'
_space_group_IT_number 14
_cell_length_a 6.884
_cell_length_b 13.733
_cell_length_c 9.085
_cell_angle_alpha 90.00
_cell_angle_beta 108.48
_cell_angle_gamma 90.00
loop_
_space_group_symop_operation_xyz
'x,y,z'
'-x,-y,-z'
'-x,y+1/2,-z+1/2'
'x,-y+1/2,z+1/2'
loop_
_atom_site_label
_atom_site_type_symbol
_atom_site_fract_x
_atom_site_fract_y
_atom_site_fract_z
_atom_site_occupancy
K1 K 0.030 0.149 0.395 1
K2 K 0.318 0.623 0.843 1
Mo1 Mo 0.500 0.000 0.000 1
C1 C 0.363 0.646 0.521 1
C2 C 0.369 0.509 0.242 1
N1 N 0.287 0.720 0.539 1
N2 N 0.300 0.510 0.105 1
O1 O 0.103 0.028 0.186 1
O2 O 0.137 0.206 0.724 1
O3 O 0.262 0.057 0.008 1
O4 O 0.280 0.245 0.685 1
```

=====

3.
Density functional theory data (PBE+U) for K2Mo2C4O15 after structural relaxation.

Computed properties:
Total DFT energy (no corrections), eV/atom: -6.66
Volume, Å³/cell: 737.11
Corrected total energy (MP2020 scheme), eV/atom: -7.3856
DFT formation energy, meV/atom: -1514
Mass density, g/cm3: 2.5
Total magnetization, μB/atom: 0.1740

Structure (CIF):
```
data_K2Mo2C4O15
_chemical_formula_sum 'K4 Mo4 C8 O30'
_space_group_name_H-M_alt 'P 1 21/c 1'
_space_group_IT_number 14
_cell_length_a 7.573
_cell_length_b 14.723
_cell_length_c 6.613
_cell_angle_alpha 90.00
_cell_angle_beta 91.60
_cell_angle_gamma 90.00
loop_
_space_group_symop_operation_xyz
'x,y,z'
'-x,-y,-z'
'-x,y+1/2,-z+1/2'
'x,-y+1/2,z+1/2'
loop_
_atom_site_label
_atom_site_type_symbol
_atom_site_fract_x
_atom_site_fract_y
_atom_site_fract_z
_atom_site_occupancy
K1 K 0.200 0.150 0.367 1
Mo1 Mo 0.105 0.606 0.625 1
C1 C 0.460 0.674 0.760 1
C2 C 0.485 0.567 0.752 1
O1 O 0.000 0.000 0.000 1
O2 O 0.030 0.191 0.979 1
O3 O 0.042 0.593 0.874 1
O4 O 0.228 0.611 0.319 1
O5 O 0.305 0.699 0.691 1
O6 O 0.347 0.525 0.682 1
O7 O 0.371 0.035 0.690 1
O8 O 0.423 0.225 0.675 1
```

=====

4.
Density functional theory data (PBE+U) for K3VC5N5O after structural relaxation.

Computed properties:
Total DFT energy (no corrections), eV/atom: -7.20
Volume, Å³/cell: 1154.95
Corrected total energy (MP2020 scheme), eV/atom: -7.3631
DFT formation energy, meV/atom: -351
Mass density, g/cm3: 1.8
Total magnetization, μB/atom: 0.0667

Structure (CIF):
```
data_K3VC5N5O
_chemical_formula_sum 'K12 V4 C20 N20 O4'
_space_group_name_H-M_alt 'P n a 21'
_space_group_IT_number 33
_cell_length_a 13.559
_cell_length_b 8.615
_cell_length_c 9.887
_cell_angle_alpha 90.00
_cell_angle_beta 90.00
_cell_angle_gamma 90.00
loop_
_space_group_symop_operation_xyz
'x,y,z'
'-x,-y,z+1/2'
'-x+1/2,y+1/2,z+1/2'
'x+1/2,-y+1/2,z'
loop_
_atom_site_label
_atom_site_type_symbol
_atom_site_fract_x
_atom_site_fract_y
_atom_site_fract_z
_atom_site_occupancy
K1 K 0.010 0.135 0.000 1
K2 K 0.021 0.630 0.975 1
K3 K 0.248 0.375 0.258 1
V1 V 0.225 0.873 0.178 1
C1 C 0.135 0.701 0.271 1
C2 C 0.136 0.047 0.270 1
C3 C 0.162 0.546 0.662 1
C4 C 0.163 0.200 0.656 1
C5 C 0.206 0.370 0.889 1
N1 N 0.085 0.604 0.318 1
N2 N 0.086 0.145 0.316 1
N3 N 0.103 0.102 0.645 1
N4 N 0.103 0.644 0.658 1
N5 N 0.165 0.370 0.994 1
O1 O 0.174 0.870 0.023 1
```

=====

5.
Density functional theory data (PBE+U) for K2NiC2O10 after structural relaxation.

Computed properties:
Total DFT energy (no corrections), eV/atom: -5.68
Volume, Å³/cell: 460.92
Corrected total energy (MP2020 scheme), eV/atom: -5.9565
DFT formation energy, meV/atom: -894
Mass density, g/cm3: 2.3
Total magnetization, μB/atom: 0.2668

Structure (CIF):
```
data_K2NiC2O10
_chemical_formula_sum 'K4 Ni2 C4 O20'
_space_group_name_H-M_alt 'P 1 21/c 1'
_space_group_IT_number 14
_cell_length_a 6.961
_cell_length_b 6.242
_cell_length_c 11.388
_cell_angle_alpha 90.00
_cell_angle_beta 111.33
_cell_angle_gamma 90.00
loop_
_space_group_symop_operation_xyz
'x,y,z'
'-x,-y,-z'
'-x,y+1/2,-z+1/2'
'x,-y+1/2,z+1/2'
loop_
_atom_site_label
_atom_site_type_symbol
_atom_site_fract_x
_atom_site_fract_y
_atom_site_fract_z
_atom_site_occupancy
K1 K 0.222 0.159 0.160 1
Ni1 Ni 0.500 0.000 0.500 1
C1 C 0.272 0.672 0.334 1
O1 O 0.162 0.553 0.251 1
O2 O 0.245 0.639 0.453 1
O3 O 0.285 0.168 0.434 1
O4 O 0.378 0.739 0.056 1
O5 O 0.401 0.684 0.834 1
```

=====

6.
Density functional theory data (PBE+U) for K3NiPCO7 after structural relaxation.

Computed properties:
Total DFT energy (no corrections), eV/atom: -6.16
Volume, Å³/cell: 369.88
Corrected total energy (MP2020 scheme), eV/atom: -6.7230
DFT formation energy, meV/atom: -2232
Mass density, g/cm3: 3.0
Total magnetization, μB/atom: 0.1538

Structure (CIF):
```
data_K3NiPCO7
_chemical_formula_sum 'K6 Ni2 P2 C2 O14'
_space_group_name_H-M_alt 'P 1 21/m 1'
_space_group_IT_number 11
_cell_length_a 5.634
_cell_length_b 6.894
_cell_length_c 9.523
_cell_angle_alpha 90.00
_cell_angle_beta 90.09
_cell_angle_gamma 90.00
loop_
_space_group_symop_operation_xyz
'x,y,z'
'-x,-y,-z'
'-x,y+1/2,-z'
'x,-y+1/2,z'
loop_
_atom_site_label
_atom_site_type_symbol
_atom_site_fract_x
_atom_site_fract_y
_atom_site_fract_z
_atom_site_occupancy
K1 K 0.246 0.011 0.296 1
K2 K 0.254 0.750 0.930 1
Ni1 Ni 0.256 0.250 0.653 1
P1 P 0.243 0.750 0.580 1
C1 C 0.247 0.250 0.917 1
O1 O 0.002 0.750 0.499 1
O2 O 0.051 0.250 0.842 1
O3 O 0.244 0.250 0.052 1
O4 O 0.256 0.567 0.676 1
O5 O 0.446 0.250 0.846 1
O6 O 0.452 0.750 0.475 1
```

=====

7.
Density functional theory data (PBE+U) for K2NiC4S4O4 after structural relaxation.

Computed properties:
Total DFT energy (no corrections), eV/atom: -5.95
Volume, Å³/cell: 561.69
Corrected total energy (MP2020 scheme), eV/atom: -6.4361
DFT formation energy, meV/atom: -1019
Mass density, g/cm3: 2.2
Total magnetization, μB/atom: 0.0000

Structure (CIF):
```
data_K2NiC4S4O4
_chemical_formula_sum 'K4 Ni2 C8 S8 O8'
_space_group_name_H-M_alt 'P 1 21/c 1'
_space_group_IT_number 14
_cell_length_a 11.120
_cell_length_b 4.238
_cell_length_c 13.509
_cell_angle_alpha 90.00
_cell_angle_beta 118.08
_cell_angle_gamma 90.00
loop_
_space_group_symop_operation_xyz
'x,y,z'
'-x,-y,-z'
'-x,y+1/2,-z+1/2'
'x,-y+1/2,z+1/2'
loop_
_atom_site_label
_atom_site_type_symbol
_atom_site_fract_x
_atom_site_fract_y
_atom_site_fract_z
_atom_site_occupancy
K1 K 0.128 0.204 0.160 1
Ni1 Ni 0.500 0.000 0.500 1
C1 C 0.216 0.659 0.398 1
C2 C 0.231 0.686 0.007 1
S1 S 0.345 0.713 0.364 1
S2 S 0.378 0.015 0.590 1
O1 O 0.111 0.506 0.339 1
O2 O 0.134 0.714 0.029 1
```

=====

8.
Density functional theory data (PBE+U) for K3VCO8 after structural relaxation.

Computed properties:
Total DFT energy (no corrections), eV/atom: -6.13
Volume, Å³/cell: 411.68
Corrected total energy (MP2020 scheme), eV/atom: -6.3567
DFT formation energy, meV/atom: -1647
Mass density, g/cm3: 2.5
Total magnetization, μB/atom: 0.0000
Largest piezoelectric modulus, C/m²: 0.346

Structure (CIF):
```
data_K3VCO8
_chemical_formula_sum 'K6 V2 C2 O16'
_space_group_name_H-M_alt 'C 1 m 1'
_space_group_IT_number 8
_cell_length_a 9.184
_cell_length_b 9.402
_cell_length_c 5.712
_cell_angle_alpha 90.00
_cell_angle_beta 123.41
_cell_angle_gamma 90.00
loop_
_space_group_symop_operation_xyz
'x,y,z'
'x,-y,z'
'x+1/2,y+1/2,z'
'x+1/2,-y+1/2,z'
loop_
_atom_site_label
_atom_site_type_symbol
_atom_site_fract_x
_atom_site_fract_y
_atom_site_fract_z
_atom_site_occupancy
K1 K 0.000 0.000 0.000 1
K2 K 0.459 0.217 0.454 1
V1 V 0.093 0.500 0.090 1
C1 C 0.256 0.000 0.741 1
O1 O 0.069 0.293 0.026 1
O2 O 0.091 0.000 0.597 1
O3 O 0.200 0.500 0.439 1
O4 O 0.204 0.360 0.000 1
O5 O 0.348 0.000 0.020 1
O6 O 0.350 0.000 0.634 1
```